[1]
# PBE-GGA TaAsO5, optimized geometry
data_TaAsO5
_chemical_formula_sum 'Ta4 As4 O20'
_cell_length_a 6.3029
_cell_length_b 7.7407
_cell_length_c 8.3792
_cell_angle_alpha 90.00
_cell_angle_beta 90.00
_cell_angle_gamma 90.00
_symmetry_space_group_name_H-M 'P 1'
_symmetry_Int_Tables_number 1
loop_
_symmetry_equiv_pos_as_xyz
'x,y,z'
loop_
_atom_site_label
_atom_site_type_symbol
_atom_site_fract_x
_atom_site_fract_y
_atom_site_fract_z
O1 O 0.0487 0.7114 0.4673
O2 O 0.2812 0.1115 0.6975
O3 O 0.4513 0.2886 0.9673
O4 O 0.5051 0.9192 0.9284
O5 O 0.7875 0.8548 0.2157
O6 O 0.7125 0.1452 0.7157
O7 O 0.5487 0.7886 0.5327
O8 O 0.0051 0.5808 0.0716
O9 O 0.2875 0.6452 0.7843
O10 O 0.9915 0.8644 0.9170
O11 O 0.7188 0.6115 0.8025
O12 O 0.2125 0.3548 0.2843
O13 O 0.7812 0.3885 0.3025
O14 O 0.9949 0.0808 0.4284
O15 O 0.5085 0.1356 0.4170
O16 O 0.4949 0.4192 0.5716
O17 O 0.0085 0.3644 0.5830
O18 O 0.2188 0.8885 0.1975
O19 O 0.9513 0.2114 0.0327
O20 O 0.4915 0.6356 0.0830
Ta1 Ta 0.2507 0.2474 0.4963
Ta2 Ta 0.2493 0.7526 0.9963
Ta3 Ta 0.7493 0.7474 0.0037
Ta4 Ta 0.7507 0.2526 0.5037
As1 As 0.5135 0.6354 0.6645
As2 As 0.9865 0.3646 0.1645
As3 As 0.0135 0.8646 0.3355
As4 As 0.4865 0.1354 0.8355
# VASP energy: -7.688 eV per atom
# Calculated formation energy: -2.285 eV per atom

=====

[2]
# PBE-GGA TbAsO2, optimized geometry
data_TbAsO2
_chemical_formula_sum 'Tb4 As4 O8'
_cell_length_a 7.0096
_cell_length_b 7.0096
_cell_length_c 7.0096
_cell_angle_alpha 109.78
_cell_angle_beta 109.78
_cell_angle_gamma 108.86
_symmetry_space_group_name_H-M 'P 1'
_symmetry_Int_Tables_number 1
loop_
_symmetry_equiv_pos_as_xyz
'x,y,z'
loop_
_atom_site_label
_atom_site_type_symbol
_atom_site_fract_x
_atom_site_fract_y
_atom_site_fract_z
O1 O 0.1135 0.4533 0.3398
O2 O 0.2033 0.3635 0.8398
O3 O 0.1135 0.7737 0.6602
O4 O 0.5237 0.3635 0.1602
O5 O 0.6365 0.4763 0.8398
O6 O 0.2263 0.8865 0.3398
O7 O 0.5467 0.8865 0.6602
O8 O 0.6365 0.7967 0.1602
As1 As 0.8750 0.1250 0.2500
As2 As 0.3750 0.1250 0.2500
As3 As 0.8750 0.1250 0.7500
As4 As 0.8750 0.6250 0.7500
Tb1 Tb 0.3750 0.1250 0.7500
Tb2 Tb 0.3750 0.6250 0.7500
Tb3 Tb 0.8750 0.6250 0.2500
Tb4 Tb 0.3750 0.6250 0.2500
# VASP energy: -6.596 eV per atom
# Calculated formation energy: -2.142 eV per atom

=====

[3]
# PBE-GGA TbZn2AsO2, optimized geometry
data_TbZn2AsO2
_chemical_formula_sum 'Tb1 Zn2 As1 O2'
_cell_length_a 3.6027
_cell_length_b 3.6027
_cell_length_c 12.2699
_cell_angle_alpha 90.00
_cell_angle_beta 90.00
_cell_angle_gamma 90.00
_symmetry_space_group_name_H-M 'P 1'
_symmetry_Int_Tables_number 1
loop_
_symmetry_equiv_pos_as_xyz
'x,y,z'
loop_
_atom_site_label
_atom_site_type_symbol
_atom_site_fract_x
_atom_site_fract_y
_atom_site_fract_z
Zn1 Zn 0.5000 0.5000 0.8137
Zn2 Zn 0.5000 0.5000 0.1863
As1 As 0.5000 0.5000 0.0000
O1 O 0.5000 0.5000 0.6704
O2 O 0.5000 0.5000 0.3296
Tb1 Tb 0.5000 0.5000 0.5000
# VASP energy: -4.194 eV per atom
# Calculated formation energy: -0.805 eV per atom

=====

[4]
# PBE-GGA Te3As2O11, optimized geometry
data_Te3As2O11
_chemical_formula_sum 'Te6 As4 O22'
_cell_length_a 6.6828
_cell_length_b 7.8393
_cell_length_c 10.6632
_cell_angle_alpha 68.45
_cell_angle_beta 89.79
_cell_angle_gamma 77.51
_symmetry_space_group_name_H-M 'P 1'
_symmetry_Int_Tables_number 1
loop_
_symmetry_equiv_pos_as_xyz
'x,y,z'
loop_
_atom_site_label
_atom_site_type_symbol
_atom_site_fract_x
_atom_site_fract_y
_atom_site_fract_z
As1 As 0.3152 0.2928 0.1121
As2 As 0.8112 0.2801 0.6059
As3 As 0.1888 0.7199 0.3941
As4 As 0.6848 0.7072 0.8879
O1 O 0.5559 0.9243 0.8852
O2 O 0.7028 0.7175 0.3166
O3 O 0.2020 0.4079 0.9460
O4 O 0.2578 0.9624 0.6888
O5 O 0.1288 0.2794 0.2248
O6 O 0.9139 0.1617 0.7704
O7 O 0.3233 0.4974 0.4055
O8 O 0.1709 0.7826 0.9283
O9 O 0.0059 0.6931 0.5126
O10 O 0.8712 0.7206 0.7752
O11 O 0.5254 0.5848 0.8474
O12 O 0.0861 0.8383 0.2296
O13 O 0.2972 0.2825 0.6834
O14 O 0.7980 0.5921 0.0540
O15 O 0.3506 0.8294 0.4452
O16 O 0.4441 0.0757 0.1148
O17 O 0.6494 0.1706 0.5548
O18 O 0.7422 0.0376 0.3112
O19 O 0.4746 0.4152 0.1526
O20 O 0.9941 0.3069 0.4874
O21 O 0.8291 0.2174 0.0717
O22 O 0.6767 0.5026 0.5945
Te1 Te 0.3126 0.2290 0.5216
Te2 Te 0.7931 0.3374 0.2000
Te3 Te 0.7675 0.9503 0.1593
Te4 Te 0.2069 0.6626 0.8000
Te5 Te 0.2325 0.0497 0.8407
Te6 Te 0.6874 0.7710 0.4784
# VASP energy: -5.661 eV per atom
# Calculated formation energy: -1.559 eV per atom

=====

[5]
# PBE-GGA TiAs2O9, optimized geometry
data_TiAs2O9
_chemical_formula_sum 'Ti4 As8 O36'
_cell_length_a 5.2522
_cell_length_b 8.9125
_cell_length_c 15.6360
_cell_angle_alpha 102.30
_cell_angle_beta 90.00
_cell_angle_gamma 90.00
_symmetry_space_group_name_H-M 'P 1'
_symmetry_Int_Tables_number 1
loop_
_symmetry_equiv_pos_as_xyz
'x,y,z'
loop_
_atom_site_label
_atom_site_type_symbol
_atom_site_fract_x
_atom_site_fract_y
_atom_site_fract_z
O1 O 0.3443 0.4637 0.0913
O2 O 0.9246 0.6421 0.0613
O3 O 0.1557 0.9637 0.5913
O4 O 0.7140 0.7653 0.2869
O5 O 0.2860 0.2347 0.7131
O6 O 0.7860 0.2653 0.7869
O7 O 0.8576 0.0194 0.7543
O8 O 0.1934 0.9136 0.7782
O9 O 0.8066 0.0864 0.2218
O10 O 0.3066 0.4136 0.2782
O11 O 0.5470 0.8403 0.8961
O12 O 0.6557 0.5363 0.9087
O13 O 0.6934 0.5864 0.7218
O14 O 0.8399 0.9377 0.0483
O15 O 0.0470 0.6597 0.6039
O16 O 0.4246 0.8579 0.4387
O17 O 0.5389 0.7525 0.5939
O18 O 0.5754 0.1421 0.5613
O19 O 0.8443 0.0363 0.4087
O20 O 0.4611 0.2475 0.4061
O21 O 0.1601 0.0623 0.9517
O22 O 0.2140 0.7347 0.2131
O23 O 0.5686 0.2494 0.9497
O24 O 0.0686 0.2506 0.5503
O25 O 0.4530 0.1597 0.1039
O26 O 0.9530 0.3403 0.3961
O27 O 0.9611 0.2525 0.0939
O28 O 0.0389 0.7475 0.9061
O29 O 0.3399 0.5623 0.4517
O30 O 0.6424 0.5194 0.2543
O31 O 0.9314 0.7494 0.4497
O32 O 0.6601 0.4377 0.5483
O33 O 0.3576 0.4806 0.7457
O34 O 0.4314 0.7506 0.0503
O35 O 0.0754 0.3579 0.9387
O36 O 0.1424 0.9806 0.2457
As1 As 0.7296 0.8530 0.3987
As2 As 0.2652 0.3893 0.3843
As3 As 0.7652 0.1107 0.1157
As4 As 0.2348 0.8893 0.8843
As5 As 0.2704 0.1470 0.6013
As6 As 0.7348 0.6107 0.6157
As7 As 0.2296 0.6470 0.1013
As8 As 0.7704 0.3530 0.8987
Ti1 Ti 0.7637 0.2404 0.4766
Ti2 Ti 0.7363 0.7404 0.9766
Ti3 Ti 0.2363 0.7596 0.5234
Ti4 Ti 0.2637 0.2596 0.0234
# VASP energy: -6.149 eV per atom
# Calculated formation energy: -1.519 eV per atom

=====

[6]
# PBE-GGA TiTlAsO5, optimized geometry
data_TiTlAsO5
_chemical_formula_sum 'Ti8 Tl8 As8 O40'
_cell_length_a 6.7592
_cell_length_b 10.9815
_cell_length_c 13.4715
_cell_angle_alpha 90.00
_cell_angle_beta 90.00
_cell_angle_gamma 90.00
_symmetry_space_group_name_H-M 'P 1'
_symmetry_Int_Tables_number 1
loop_
_symmetry_equiv_pos_as_xyz
'x,y,z'
loop_
_atom_site_label
_atom_site_type_symbol
_atom_site_fract_x
_atom_site_fract_y
_atom_site_fract_z
O1 O 0.6987 0.0600 0.6096
O2 O 0.0010 0.1559 0.5133
O3 O 0.9614 0.9049 0.2594
O4 O 0.0406 0.1510 0.2577
O5 O 0.1844 0.2524 0.8982
O6 O 0.5406 0.6510 0.2423
O7 O 0.1930 0.2963 0.1045
O8 O 0.3013 0.5599 0.3904
O9 O 0.4990 0.1559 0.0133
O10 O 0.2067 0.9964 0.1084
O11 O 0.4614 0.4049 0.2406
O12 O 0.4711 0.4070 0.9880
O13 O 0.7933 0.4964 0.8916
O14 O 0.8070 0.7963 0.8955
O15 O 0.1987 0.5599 0.8904
O16 O 0.2933 0.9964 0.6084
O17 O 0.4427 0.4031 0.7804
O18 O 0.0498 0.1535 0.7184
O19 O 0.6844 0.7524 0.6018
O20 O 0.0289 0.4070 0.4880
O21 O 0.7067 0.4964 0.3916
O22 O 0.5573 0.9031 0.2196
O23 O 0.6930 0.7963 0.3955
O24 O 0.8013 0.0600 0.1096
O25 O 0.5289 0.9070 0.0120
O26 O 0.3070 0.2963 0.6045
O27 O 0.8156 0.7524 0.1018
O28 O 0.0573 0.4031 0.2804
O29 O 0.9594 0.6510 0.7423
O30 O 0.3156 0.2524 0.3982
O31 O 0.5010 0.6559 0.9867
O32 O 0.4594 0.1510 0.7577
O33 O 0.9427 0.9031 0.7196
O34 O 0.0386 0.4049 0.7406
O35 O 0.9502 0.6535 0.2816
O36 O 0.5498 0.6535 0.7816
O37 O 0.9711 0.9070 0.5120
O38 O 0.9990 0.6559 0.4867
O39 O 0.5386 0.9049 0.7594
O40 O 0.4502 0.1535 0.2184
As1 As 0.0045 0.0260 0.1810
As2 As 0.9955 0.5260 0.8190
As3 As 0.6633 0.7737 0.0000
As4 As 0.8367 0.7737 0.5000
As5 As 0.1633 0.2737 0.5000
As6 As 0.4955 0.0260 0.6810
As7 As 0.5045 0.5260 0.3190
As8 As 0.3367 0.2737 0.0000
Tl1 Tl 0.7026 0.0789 0.3959
Tl2 Tl 0.2026 0.5789 0.1041
Tl3 Tl 0.7821 0.3260 0.1241
Tl4 Tl 0.7974 0.0789 0.8959
Tl5 Tl 0.2179 0.8260 0.8759
Tl6 Tl 0.7179 0.3260 0.6241
Tl7 Tl 0.2821 0.8260 0.3759
Tl8 Tl 0.2974 0.5789 0.6041
Ti1 Ti 0.2325 0.2656 0.7531
Ti2 Ti 0.7675 0.7656 0.2469
Ti3 Ti 0.9998 0.0152 0.6306
Ti4 Ti 0.0002 0.5152 0.3694
Ti5 Ti 0.7325 0.7656 0.7469
Ti6 Ti 0.4998 0.5152 0.8694
Ti7 Ti 0.5002 0.0152 0.1306
Ti8 Ti 0.2675 0.2656 0.2531
# VASP energy: -6.839 eV per atom
# Calculated formation energy: -2.312 eV per atom